# Ho5Ge10Ir4 r²SCAN relaxed
data_Ho5Ge10Ir4
_chemical_formula_sum 'Ho10 Ge20 Ir8'
_symmetry_space_group_name_H-M 'P 4/m b m'
_symmetry_Int_Tables_number 127
_symmetry_space_group_name_Hall '-P 4 2ab'
_cell_length_a 12.925
_cell_length_b 12.925
_cell_length_c 4.302
_cell_angle_alpha 90.00
_cell_angle_beta 90.00
_cell_angle_gamma 90.00
loop_
_atom_site_label
_atom_site_type_symbol
_atom_site_fract_x
_atom_site_fract_y
_atom_site_fract_z
Ho1 Ho 0.000 0.000 0.000
Ho2 Ho 0.115 0.385 0.500
Ho3 Ho 0.173 0.673 0.500
Ge1 Ge 0.005 0.844 0.500
Ge2 Ge 0.067 0.567 0.000
Ge3 Ge 0.164 0.200 0.000
Ir1 Ir 0.020 0.754 0.000
# - Magnetization: 0.000 μB per formula unit
# - ΔE_f: -850.5 meV per atom